VASP calculation (PBE) on an optimized crystal structure of BaBi2Pd2. Values from VASP.

- Space group: No. 11

Quantum ESPRESSO input file:
```
&SYSTEM
  ibrav = 0, nat = 10, ntyp = 3
/
ATOMIC_SPECIES
Ba 137.33 Ba.upf
Bi 208.98 Bi.upf
Pd 106.42 Pd.upf
ATOMIC_POSITIONS angstrom
Ba 3.698 1.361 2.668
Ba 1.233 3.934 8.399
Bi 3.698 1.323 9.755
Bi 1.233 1.390 5.523
Bi 3.698 3.905 5.543
Bi 1.233 3.971 1.312
Pd 1.233 3.879 4.133
Pd 1.233 1.808 11.058
Pd 3.698 1.415 6.934
Pd 3.698 3.487 0.009
CELL_PARAMETERS angstrom
4.930 0.000 0.000
0.000 5.007 0.000
0.000 0.288 11.067
```


VASP calculation (PBE) on an optimized crystal structure of La3NdCu2O8. Values from VASP.

- Spin magnetization: 0.00 μB per cell
- Space group: No. 8
- E above lowest polymorph: 94.4 meV per atom

Quantum ESPRESSO input file:
```
&SYSTEM
  ibrav = 0, nat = 14, ntyp = 4
/
ATOMIC_SPECIES
La 138.91 La.upf
Nd 144.24 Nd.upf
Cu 63.55 Cu.upf
O 16.00 O.upf
ATOMIC_POSITIONS angstrom
La -1.952 5.645 1.282
La -2.843 8.445 -1.031
La 0.926 3.092 0.211
Nd 0.060 5.867 -2.117
Cu -1.010 2.850 -2.363
Cu -2.011 5.681 -4.746
O 0.945 9.203 1.460
O -1.529 4.368 -3.423
O -2.865 2.360 -2.229
O -0.386 7.203 2.650
O -0.721 7.347 -0.503
O -1.217 4.186 -0.348
O 1.907 5.535 -0.609
O -3.873 6.032 -0.217
CELL_PARAMETERS angstrom
2.654 3.988 -2.373
-4.673 1.694 -2.380
0.095 5.866 3.944
```


VASP calculation (PBE) on an optimized crystal structure of Na5Y3NbSiP5O24. Values from VASP.

- Spin magnetization: 0.00 μB per cell
- Space group: No. 1

Quantum ESPRESSO input file:
```
&SYSTEM
  ibrav = 0, nat = 117, ntyp = 6
/
ATOMIC_SPECIES
Na 22.99 Na.upf
Y 88.91 Y.upf
Nb 92.91 Nb.upf
Si 28.09 Si.upf
P 30.97 P.upf
O 16.00 O.upf
ATOMIC_POSITIONS angstrom
Na 5.900 -0.008 5.891
Na 1.672 2.881 5.864
Na -2.948 5.115 5.873
Na 1.278 2.731 13.728
Na -2.938 5.592 13.653
Na 1.683 7.689 13.654
Na -1.696 7.667 1.824
Na 5.895 5.405 21.398
Na 6.349 0.154 21.343
Na 4.594 7.958 11.621
Na 0.005 0.146 23.302
Na 4.515 2.648 19.314
Na 4.630 2.638 7.906
Na 0.042 5.235 3.793
Na 0.081 5.320 15.716
Y 4.612 7.989 8.285
Y 0.048 0.072 19.851
Y 4.603 7.974 15.299
Y 9.174 -0.010 3.366
Y 4.609 2.672 16.089
Y 4.641 2.691 4.248
Y 0.024 5.242 0.402
Y 0.016 5.333 12.000
Y -0.002 5.337 7.571
Nb 4.615 2.654 22.877
Nb 4.607 2.701 11.250
Nb -0.041 5.325 19.087
Si 3.267 5.019 13.627
Si -1.389 2.973 21.442
Si -1.341 7.676 21.497
P -1.891 7.982 5.802
P 3.226 5.629 5.853
P -1.354 2.384 5.850
P 1.349 2.492 17.543
P -3.160 5.601 17.599
P 1.793 7.914 17.601
P 7.284 2.646 13.591
P 3.287 0.363 13.591
P 5.968 5.016 1.894
P 5.967 0.348 1.885
P 1.952 2.647 1.926
P 2.696 5.267 21.412
P 1.359 7.832 9.789
P 1.470 2.898 9.791
P -2.840 5.280 9.793
O 1.814 0.197 7.005
O 3.868 6.284 7.079
O 8.136 1.484 7.078
O 1.021 1.582 18.717
O 5.499 6.264 18.839
O 7.318 0.062 18.836
O 2.630 7.712 16.295
O 0.765 1.923 16.212
O -3.380 6.430 16.296
O 3.476 6.499 4.601
O -0.732 1.732 4.595
O -2.726 7.780 4.508
O 6.437 2.865 14.833
O 3.950 0.948 14.830
O 3.514 4.043 14.868
O 5.671 4.277 3.207
O 5.437 0.978 3.186
O 2.724 2.746 3.251
O 3.003 2.575 0.720
O 5.394 4.183 0.667
O 5.531 1.280 0.651
O 3.665 1.279 12.355
O 3.935 4.141 12.313
O 6.308 2.490 12.351
O 1.881 5.582 22.654
O -0.762 3.618 22.742
O -1.080 6.858 22.848
O 1.057 6.968 11.023
O 0.887 3.586 11.030
O -1.963 5.437 11.038
O -2.002 5.059 8.504
O 0.753 7.211 8.497
O 1.253 3.737 8.503
O -1.053 4.022 20.161
O -0.559 6.871 20.224
O 1.746 5.053 20.188
O 5.470 6.470 9.690
O 7.509 0.004 9.690
O 0.890 1.490 9.687
O 8.264 1.413 21.275
O -2.930 7.792 21.283
O 3.669 6.442 21.204
O 8.149 1.356 13.657
O 1.736 0.319 13.668
O 4.046 6.465 13.654
O 5.303 6.417 1.870
O 7.496 0.255 1.860
O 1.189 1.298 1.873
O 5.491 1.119 17.498
O 2.869 2.676 17.493
O 5.534 4.164 17.495
O 3.854 4.204 5.745
O 6.343 2.547 5.745
O 3.678 1.228 5.732
O 3.603 3.981 21.632
O 6.149 2.958 21.634
O 4.066 1.178 21.654
O 5.303 1.229 9.977
O 3.041 2.780 9.977
O 5.541 3.947 9.969
O 1.055 3.874 1.844
O -1.748 5.222 1.837
O 0.626 6.993 1.793
O -0.792 6.933 13.415
O 1.650 5.219 13.484
O -1.051 3.902 13.427
O -0.992 6.710 5.968
O 1.676 5.474 5.985
O -0.710 3.802 5.986
O 0.660 3.898 17.792
O -1.576 5.515 17.799
O 0.927 6.598 17.790
CELL_PARAMETERS angstrom
9.245 -0.013 0.003
-4.634 8.004 -0.002
0.008 -0.001 23.379
```


VASP calculation (PBE) on an optimized crystal structure of Mg6ZrC. Values from VASP.

- Spin magnetization: 0.00 μB per cell
- Space group: No. 38
- E above lowest polymorph: 272.5 meV per atom

Quantum ESPRESSO input file:
```
&SYSTEM
  ibrav = 0, nat = 8, ntyp = 3
/
ATOMIC_SPECIES
Mg 24.30 Mg.upf
Zr 91.22 Zr.upf
C 12.01 C.upf
ATOMIC_POSITIONS angstrom
Mg 1.373 -0.614 2.321
Mg 4.061 -0.614 2.321
Mg 1.376 0.992 0.000
Mg 4.057 0.992 0.000
Mg 2.717 -1.926 0.000
Mg 2.717 3.618 0.000
Zr 2.717 -3.872 2.321
C 2.717 1.423 2.321
CELL_PARAMETERS angstrom
2.717 -6.232 0.000
2.717 6.232 0.000
0.000 0.000 4.642
```


VASP calculation (PBE) on an optimized crystal structure of ZnSnAs2O7. Values from VASP.

- Spin magnetization: 0.00 μB per cell
- Space group: No. 14

Quantum ESPRESSO input file:
```
&SYSTEM
  ibrav = 0, nat = 44, ntyp = 4
/
ATOMIC_SPECIES
Zn 65.41 Zn.upf
Sn 118.71 Sn.upf
As 74.92 As.upf
O 16.00 O.upf
ATOMIC_POSITIONS angstrom
Zn 10.968 -5.416 -4.216
Zn 3.559 -5.876 -5.658
Zn -1.864 -4.006 -8.203
Zn 5.546 -3.546 -6.761
Sn 1.870 -7.761 -8.603
Sn 9.090 -6.766 -7.335
Sn 7.235 -1.661 -3.816
Sn 0.014 -2.656 -5.083
As 5.632 -7.478 -8.805
As 6.887 -5.634 -4.482
As 3.473 -1.943 -3.613
As 2.218 -3.788 -7.937
As 3.814 -9.285 -6.300
As 9.046 -3.518 -6.408
As 5.291 -0.136 -6.119
As 0.059 -5.904 -6.010
O -2.251 -3.173 -6.311
O 7.454 -2.999 -6.066
O 11.355 -6.249 -6.108
O 1.651 -6.422 -6.353
O 6.917 -6.970 -7.839
O 7.040 -4.838 -3.003
O 2.187 -2.452 -4.580
O 2.064 -4.584 -9.416
O 5.931 -8.938 -9.703
O 5.505 -5.156 -5.425
O 3.173 -0.483 -2.716
O 3.599 -4.266 -6.994
O 5.277 -6.143 -9.922
O 6.800 -7.371 -4.118
O 3.828 -3.279 -2.497
O 2.305 -2.051 -8.301
O -1.157 -5.652 -7.221
O 5.214 -1.560 -7.106
O 10.261 -3.770 -5.198
O 3.891 -7.862 -5.313
O 0.791 -3.856 -6.977
O 4.960 -1.820 -4.469
O 8.313 -5.566 -5.442
O 4.145 -7.602 -7.950
O 5.921 -3.538 -8.879
O 0.756 -1.298 -0.992
O 3.183 -5.884 -3.539
O 8.348 -8.124 -11.427
CELL_PARAMETERS angstrom
-4.361 -3.955 -7.415
6.038 1.372 -4.283
7.427 -6.839 -0.720
```


VASP calculation (PBE) on an optimized crystal structure of Sr2GdCu2RuO8. Values from VASP.

- Spin magnetization: 8.47 μB per cell
- Space group: No. 127
- E above lowest polymorph: 0.0 meV per atom

Quantum ESPRESSO input file:
```
&SYSTEM
  ibrav = 0, nat = 28, ntyp = 5
/
ATOMIC_SPECIES
Sr 87.62 Sr.upf
Gd 157.25 Gd.upf
Cu 63.55 Cu.upf
Ru 101.07 Ru.upf
O 16.00 O.upf
ATOMIC_POSITIONS angstrom
Sr 6.328 -6.434 4.063
Sr 2.949 -1.302 -1.437
Sr 0.576 -3.390 0.796
Sr 8.701 -4.347 1.830
Gd 3.452 -4.912 2.429
Gd 5.825 -2.824 0.197
Cu 5.967 -5.984 0.746
Cu 3.311 -1.752 1.880
Cu 3.314 -4.580 -0.761
Cu 5.963 -3.156 3.387
Ru 0.003 -2.828 -2.641
Ru 0.000 0.000 0.000
O 7.727 -6.916 1.745
O 1.551 -0.821 0.881
O 1.554 -3.649 -1.760
O 7.724 -4.088 4.387
O -1.183 -4.251 -1.879
O 1.189 -1.405 -3.403
O -0.317 -1.694 -1.021
O 0.323 -3.962 -4.261
O 2.278 -5.701 0.443
O 4.651 -3.619 -1.794
O 5.817 -4.489 1.979
O 5.816 -7.321 -0.658
O 7.003 -4.864 -0.458
O 4.630 -6.946 1.779
O 3.464 -6.076 -1.994
O 3.465 -3.244 0.643
CELL_PARAMETERS angstrom
-2.370 -4.916 -0.408
2.376 -0.740 -4.874
9.274 -4.908 5.267
```


VASP calculation (PBE) on an optimized crystal structure of Na7TaIn3Si3P3O24. Values from VASP.

- Spin magnetization: 0.00 μB per cell
- Space group: No. 1

Quantum ESPRESSO input file:
```
&SYSTEM
  ibrav = 0, nat = 123, ntyp = 6
/
ATOMIC_SPECIES
Na 22.99 Na.upf
Ta 180.95 Ta.upf
In 114.82 In.upf
Si 28.09 Si.upf
P 30.97 P.upf
O 16.00 O.upf
ATOMIC_POSITIONS angstrom
Na 1.199 7.936 5.698
Na 1.679 2.934 5.693
Na -2.897 5.037 5.753
Na 2.977 5.017 16.817
Na 7.491 2.801 16.783
Na 1.146 2.709 13.190
Na -2.885 5.552 13.152
Na 1.701 7.617 13.104
Na -1.659 7.665 1.879
Na 2.830 5.565 1.890
Na -1.133 2.654 1.808
Na 1.569 2.341 20.630
Na 7.603 2.381 9.440
Na 2.867 0.182 9.436
Na 3.294 5.376 9.438
Na 9.150 -0.004 11.278
Na 4.496 7.933 22.515
Na 4.576 2.562 18.722
Na 4.578 2.632 7.558
Na 0.044 5.295 3.732
Na -0.016 5.315 14.899
Ta 4.626 2.599 22.130
Ta 4.606 2.675 10.891
Ta -0.053 5.277 18.440
In 4.575 7.941 7.923
In -0.011 0.004 19.222
In -0.018 0.027 14.676
In -0.006 0.027 3.298
In 4.535 2.623 15.473
In 4.571 2.623 4.102
In 0.020 5.296 0.340
In 0.002 5.263 11.637
In 0.002 5.290 7.287
Si 1.377 2.351 17.004
Si 7.286 2.651 13.244
Si 3.222 5.006 13.235
Si 5.933 0.295 1.892
Si 1.901 2.659 1.869
Si -1.394 2.936 20.767
Si 1.338 7.677 9.422
Si 1.387 2.918 9.415
Si -2.743 5.282 9.426
P -1.870 7.927 5.628
P 3.225 5.584 5.612
P -1.371 2.385 5.628
P -3.211 5.620 16.973
P 1.835 7.909 16.974
P 3.255 0.322 13.171
P 5.920 4.945 1.864
P 2.707 5.282 20.732
P -1.345 7.629 20.763
O 1.844 0.192 6.869
O 3.842 6.229 6.864
O 8.043 1.508 6.866
O 1.110 1.519 18.354
O 5.263 6.262 18.159
O 7.353 0.219 18.170
O 2.632 7.533 15.696
O 0.586 1.797 15.685
O -3.382 6.413 15.671
O 3.480 6.435 4.334
O -0.753 1.753 4.349
O -2.726 7.712 4.344
O 6.412 2.874 14.589
O 3.902 0.924 14.410
O 3.401 4.114 14.571
O 5.759 4.143 3.164
O 5.287 0.877 3.257
O 2.739 2.974 3.225
O 2.963 2.499 0.564
O 5.269 4.154 0.657
O 5.554 1.349 0.616
O 3.581 1.218 11.910
O 3.875 4.156 11.929
O 6.230 2.478 11.939
O 1.924 5.505 22.026
O -0.719 3.556 22.093
O -1.117 6.870 22.065
O 1.166 6.737 10.720
O 0.645 3.517 10.715
O -1.845 5.605 10.722
O -1.893 4.889 8.083
O 0.587 7.132 8.070
O 1.304 3.858 8.074
O -1.021 3.970 19.478
O -0.682 6.871 19.563
O 1.685 5.077 19.528
O -3.756 6.545 9.295
O 2.946 7.902 9.291
O 0.776 1.417 9.280
O -0.699 1.483 20.612
O -2.846 7.863 20.606
O 3.651 6.453 20.528
O 8.164 1.267 13.198
O 1.705 0.265 13.210
O 4.042 6.429 13.226
O 5.188 6.310 1.881
O 7.566 0.209 1.869
O 1.061 1.245 1.871
O 5.558 1.220 16.855
O 2.968 2.671 16.932
O 5.443 4.163 16.912
O 3.895 4.173 5.553
O 6.261 2.544 5.542
O 3.618 1.259 5.576
O 3.492 3.904 20.813
O 6.125 2.866 20.870
O 3.938 1.122 20.848
O 5.225 1.227 9.630
O 3.034 2.774 9.633
O 5.493 3.911 9.629
O 0.923 3.958 1.765
O -1.750 5.134 1.708
O 0.640 6.784 1.737
O -0.732 6.865 13.037
O 1.610 5.194 13.101
O -0.986 3.997 13.119
O -0.976 6.656 5.718
O 1.677 5.447 5.703
O -0.706 3.789 5.727
O 0.631 3.913 17.223
O -1.633 5.483 17.218
O 0.937 6.629 17.249
CELL_PARAMETERS angstrom
9.185 -0.002 -0.006
-4.594 7.948 0.000
-0.015 -0.010 22.606
```


VASP calculation (PBE) on an optimized crystal structure of Cs3BO3. Values from VASP.

- Space group: No. 55

Quantum ESPRESSO input file:
```
&SYSTEM
  ibrav = 0, nat = 56, ntyp = 3
/
ATOMIC_SPECIES
Cs 132.91 Cs.upf
B 10.81 B.upf
O 16.00 O.upf
ATOMIC_POSITIONS angstrom
Cs 2.648 8.402 2.866
Cs 2.648 2.751 8.332
Cs 7.967 2.826 2.733
Cs 7.967 8.327 8.465
Cs 7.967 2.751 8.332
Cs 7.967 8.402 2.866
Cs 2.648 8.327 8.465
Cs 2.648 2.826 2.733
Cs 5.308 7.466 5.414
Cs 5.308 3.686 5.783
Cs 5.308 1.890 0.184
Cs 5.308 9.263 11.013
Cs 0.000 5.804 1.897
Cs 0.000 5.348 9.301
Cs 0.000 0.228 3.702
Cs 0.000 10.925 7.496
Cs 3.347 5.576 0.000
Cs 7.268 0.000 5.599
Cs 7.268 5.576 0.000
Cs 3.347 0.000 5.599
Cs 1.956 5.576 5.599
Cs 8.659 0.000 0.000
Cs 8.659 5.576 5.599
Cs 1.956 0.000 0.000
B 0.000 8.431 5.227
B 0.000 2.721 5.971
B 0.000 2.855 0.372
B 0.000 8.297 10.825
B 5.308 10.774 2.734
B 5.308 0.378 8.464
B 5.308 5.198 2.865
B 5.308 5.955 8.333
O 1.228 7.778 0.097
O 1.228 3.375 11.101
O 9.387 2.202 5.502
O 9.387 8.951 5.695
O 9.387 3.375 11.101
O 9.387 7.778 0.097
O 1.228 8.951 5.695
O 1.228 2.202 5.502
O 0.000 7.421 4.256
O 0.000 3.731 6.942
O 0.000 1.845 1.343
O 0.000 9.308 9.855
O 5.308 9.823 3.761
O 5.308 1.330 7.437
O 5.308 4.247 1.838
O 5.308 6.906 9.360
O 4.080 5.658 3.396
O 4.080 5.495 7.802
O 6.535 0.082 2.203
O 6.535 11.071 8.995
O 6.535 5.495 7.802
O 6.535 5.658 3.396
O 4.080 11.071 8.995
O 4.080 0.082 2.203
CELL_PARAMETERS angstrom
10.615 0.000 0.000
0.000 11.152 0.000
0.000 0.000 11.198
```


| no. | V (Å³/f.u.) | energy relative to the elements (meV/atom) |
| --- | --- | --- |
| 1 | 136.59 | -642 |
| 2 | 192.82 | -2962 |
| 3 | 576.21 | -3043 |
| 4 | 157.20 | 492 |
| 5 | 155.62 | -1675 |
| 6 | 175.80 | -2269 |
| 7 | 550.06 | -2658 |
| 8 | 165.70 | -2136 |